# 1
Below is a relaxed Ta3Ru crystal, with properties calculated at the PBE level.

CIF file:
```
data_Ta3Ru
_chemical_formula_sum 'Ta12 Ru4'
_cell_length_a 6.4733
_cell_length_b 6.4733
_cell_length_c 6.4733
_cell_angle_alpha 90.00
_cell_angle_beta 90.00
_cell_angle_gamma 90.00
_space_group_name_H-M_alt 'F m -3 m'
_space_group_IT_number 225
_space_group_name_Hall '-F 4 2 3'
loop_
_atom_site_label
_atom_site_type_symbol
_atom_site_fract_x
_atom_site_fract_y
_atom_site_fract_z
_atom_site_occupancy
Ta1 Ta 0.0000 0.0000 0.0000 1
Ta2 Ta 0.2500 0.2500 0.2500 1
Ru1 Ru 0.0000 0.0000 0.5000 1
```

energy: -182.86 eV per cell

# 2
Below is a relaxed GeSb2H16C4S6N2 crystal, with properties calculated at the PBE level.

CIF file:
```
data_GeSb2H16C4S6N2
_chemical_formula_sum 'Ge4 Sb8 H64 C16 S24 N8'
_cell_length_a 11.1554
_cell_length_b 11.1554
_cell_length_c 14.0143
_cell_angle_alpha 90.00
_cell_angle_beta 90.00
_cell_angle_gamma 90.00
_space_group_name_H-M_alt 'P 41 21 2'
_space_group_IT_number 92
loop_
_space_group_symop_operation_xyz
'x,y,z'
'-y+1/2,x+1/2,z+1/4'
'-x,-y,z+1/2'
'y+1/2,-x+1/2,z+3/4'
'x+1/2,-y+1/2,-z+3/4'
'-y,-x,-z+1/2'
'-x+1/2,y+1/2,-z+1/4'
'y,x,-z'
loop_
_atom_site_label
_atom_site_type_symbol
_atom_site_fract_x
_atom_site_fract_y
_atom_site_fract_z
_atom_site_occupancy
Ge1 Ge 0.2298 0.2298 0.0000 1
Sb1 Sb 0.0109 0.6039 0.3738 1
H1 H 0.0080 0.7743 0.8714 1
H2 H 0.0312 0.9229 0.8237 1
H3 H 0.0592 0.0959 0.4261 1
H4 H 0.0683 0.1782 0.7137 1
H5 H 0.1163 0.1887 0.2301 1
H6 H 0.1801 0.6995 0.6025 1
H7 H 0.1885 0.2624 0.5905 1
H8 H 0.1888 0.7316 0.9578 1
C1 C 0.0324 0.1378 0.3587 1
C2 C 0.2295 0.2349 0.6584 1
S1 S 0.0467 0.4519 0.5007 1
S2 S 0.0614 0.2444 0.0853 1
S3 S 0.1080 0.7311 0.1555 1
N1 N 0.1406 0.1528 0.2977 1
```

energy: -611.70 eV per cell
magnetization: 0.000 μB/atom
corrected total energy (MP2020 scheme): -5.0537 eV/atom

# 3
Below is a relaxed Na9Ca4Nb8Si3P15O72 crystal, with properties calculated at the PBE level.

CIF file:
```
data_Na9Ca4Nb8Si3P15O72
_chemical_formula_sum 'Na9 Ca4 Nb8 Si3 P15 O72'
_cell_length_a 8.9928
_cell_length_b 9.0103
_cell_length_c 22.9427
_cell_angle_alpha 90.00
_cell_angle_beta 90.01
_cell_angle_gamma 119.89
_space_group_name_H-M_alt 'P 1'
_space_group_IT_number 1
loop_
_space_group_symop_operation_xyz
'x,y,z'
loop_
_atom_site_label
_atom_site_type_symbol
_atom_site_fract_x
_atom_site_fract_y
_atom_site_fract_z
_atom_site_occupancy
Na1 Na 0.0000 0.0000 0.0000 1
Na2 Na 0.0031 0.9900 0.4989 1
Na3 Na 0.0157 0.3678 0.2517 1
Na4 Na 0.0286 0.3189 0.5843 1
Na5 Na 0.3278 0.6654 0.6711 1
Na6 Na 0.3450 0.6804 0.1699 1
Na7 Na 0.6303 0.9836 0.7521 1
Na8 Na 0.6593 0.3323 0.3299 1
Na9 Na 0.6665 0.3396 0.8293 1
Ca1 Ca 0.0014 0.9906 0.6372 1
Ca2 Ca 0.3251 0.6617 0.8162 1
Ca3 Ca 0.3342 0.6712 0.3152 1
Ca4 Ca 0.9987 0.9967 0.1356 1
Nb1 Nb 0.9996 0.0015 0.3477 1
Nb2 Nb 0.3347 0.6635 0.5128 1
Nb3 Nb 0.3358 0.6679 0.0139 1
Nb4 Nb 0.6582 0.3366 0.6834 1
Nb5 Nb 0.6617 0.3305 0.4746 1
Nb6 Nb 0.6625 0.3336 0.1832 1
Nb7 Nb 0.6666 0.3304 0.9749 1
Nb8 Nb 0.9983 0.9998 0.8480 1
Si1 Si 0.0338 0.3656 0.4096 1
Si2 Si 0.3779 0.3418 0.5764 1
Si3 Si 0.6314 0.9621 0.9095 1
P1 P 0.0353 0.6691 0.9140 1
P2 P 0.2923 0.2867 0.2436 1
P3 P 0.2947 0.0042 0.7442 1
P4 P 0.3282 0.9617 0.4132 1
P5 P 0.3298 0.3669 0.9138 1
P6 P 0.3861 0.0414 0.0766 1
P7 P 0.6328 0.6686 0.4125 1
P8 P 0.6503 0.0412 0.5780 1
P9 P 0.6522 0.6109 0.0763 1
P10 P 0.7080 0.0034 0.2425 1
P11 P 0.7101 0.7048 0.7448 1
P12 P 0.9539 0.6113 0.5762 1
P13 P 0.9580 0.3456 0.0775 1
P14 P 0.9929 0.7052 0.2431 1
P15 P 0.9938 0.2909 0.7414 1
O1 O 0.0050 0.2108 0.6848 1
O2 O 0.0116 0.8040 0.1888 1
O3 O 0.0209 0.1746 0.4039 1
O4 O 0.0266 0.8371 0.9081 1
O5 O 0.0857 0.4620 0.3496 1
O6 O 0.0866 0.6172 0.8589 1
O7 O 0.1314 0.6177 0.5714 1
O8 O 0.1342 0.5139 0.0709 1
O9 O 0.1338 0.6599 0.2494 1
O10 O 0.1404 0.4698 0.7497 1
O11 O 0.1594 0.6920 0.9664 1
O12 O 0.1609 0.9725 0.4078 1
O13 O 0.1657 0.1871 0.9074 1
O14 O 0.1682 0.4741 0.4660 1
O15 O 0.1848 0.2067 0.1906 1
O16 O 0.1869 0.1876 0.5729 1
O17 O 0.1973 0.1677 0.2997 1
O18 O 0.1979 0.9877 0.6894 1
O19 O 0.2008 0.0236 0.8000 1
O20 O 0.2117 0.0249 0.0745 1
O21 O 0.3011 0.4635 0.9666 1
O22 O 0.3062 0.8401 0.4660 1
O23 O 0.3204 0.4652 0.2527 1
O24 O 0.3374 0.8617 0.7498 1
O25 O 0.3731 0.5243 0.5705 1
O26 O 0.3768 0.4705 0.8589 1
O27 O 0.3775 0.8634 0.0708 1
O28 O 0.3765 0.9076 0.3580 1
O29 O 0.4720 0.2930 0.2386 1
O30 O 0.4778 0.1465 0.4270 1
O31 O 0.4781 0.1799 0.7403 1
O32 O 0.4812 0.3348 0.9284 1
O33 O 0.4813 0.6183 0.0711 1
O34 O 0.4845 0.8658 0.5708 1
O35 O 0.4907 0.1512 0.0241 1
O36 O 0.4911 0.3345 0.5231 1
O37 O 0.4956 0.1333 0.1327 1
O38 O 0.4980 0.3599 0.6357 1
O39 O 0.5203 0.8263 0.9647 1
O40 O 0.5269 0.8603 0.2503 1
O41 O 0.5276 0.6229 0.3580 1
O42 O 0.5311 0.6759 0.7538 1
O43 O 0.5344 0.6956 0.4657 1
O44 O 0.5356 0.9137 0.8492 1
O45 O 0.6339 0.1308 0.6352 1
O46 O 0.6353 0.5013 0.1327 1
O47 O 0.6572 0.5072 0.0242 1
O48 O 0.6646 0.1558 0.5258 1
O49 O 0.6647 0.5175 0.4267 1
O50 O 0.6679 0.1551 0.9277 1
O51 O 0.7067 0.5268 0.7401 1
O52 O 0.7100 0.1842 0.2397 1
O53 O 0.7879 0.8107 0.6912 1
O54 O 0.7947 0.9921 0.1886 1
O55 O 0.8077 0.7865 0.0750 1
O56 O 0.8114 0.8332 0.4075 1
O57 O 0.8129 0.0306 0.5777 1
O58 O 0.8140 0.2865 0.7414 1
O59 O 0.8163 0.5213 0.2380 1
O60 O 0.8238 0.9782 0.9041 1
O61 O 0.8297 0.0282 0.2985 1
O62 O 0.8298 0.8017 0.8003 1
O63 O 0.8413 0.3292 0.4274 1
O64 O 0.8447 0.3405 0.0258 1
O65 O 0.8470 0.5078 0.5235 1
O66 O 0.8501 0.5217 0.9289 1
O67 O 0.8659 0.4995 0.6324 1
O68 O 0.8673 0.3619 0.1345 1
O69 O 0.9696 0.7850 0.5746 1
O70 O 0.9718 0.7975 0.2993 1
O71 O 0.9726 0.1867 0.0749 1
O72 O 0.9746 0.1657 0.7959 1
```

energy: -825.31 eV per cell
magnetization: 0.000 μB/atom
corrected total energy (MP2020 scheme): -7.8808 eV/atom